--- A ---
This record from Materials Project describes a relaxed SrTa2Bi2O9 crystal. The functional is GGA-PBE.

Output
The theoretical density comes out at 8.6 Mg/m³. For the total moment, the calculation gives 0.00 μB per formula unit.

Unit cell a=12.8893 b=12.8893 c=12.8893 alpha=162.43 beta=162.43 gamma=24.94
Last column: nearest neighbours and their distance in Å.
Fractional coordinates of all 14 atoms:
Sr 0.0000 0.0000 0.0000  12 O 2.75-2.78
Ta 0.5850 0.5850 0.0000  5 O 1.90-1.98
Ta 0.4150 0.4150 0.0000  5 O 1.90-1.98
Bi 0.2005 0.2005 0.0000  4 O 2.33
Bi 0.7995 0.7995 0.0000  4 O 2.33
O 0.5764 0.0764 0.5000  2 Ta 1.98
O 0.7500 0.2500 0.5000  4 Bi 2.33
O 0.9236 0.4236 0.5000  2 Ta 1.98
O 0.5000 0.5000 0.0000  2 Ta 2.14
O 0.4236 0.9236 0.5000  2 Ta 1.98
O 0.3393 0.3393 0.0000  1 Ta 1.90
O 0.0764 0.5764 0.5000  2 Ta 1.98
O 0.2500 0.7500 0.5000  4 Bi 2.33
O 0.6607 0.6607 0.0000  1 Ta 1.90

--- B ---
This record from Materials Project describes a relaxed SrTa2Bi2O9 crystal. The functional is GGA-PBE.

Output
The theoretical density comes out at 7.1 Mg/m³. For the total moment, the calculation gives 0.03 μB per formula unit.

Unit cell a=15.1864 b=15.1864 c=5.7011 alpha=90.00 beta=90.00 gamma=158.76
Last column: nearest neighbours and their distance in Å.
Fractional coordinates of all 28 atoms:
Sr 0.2528 0.2528 0.0221  12 O 2.64-2.96
Sr 0.7472 0.7472 0.5221  12 O 2.64-2.96
Ta 0.3180 0.1787 0.5223  6 O 1.91-2.08
Ta 0.1787 0.3180 0.5223  6 O 1.91-2.08
Ta 0.8213 0.6820 0.0223  6 O 1.91-2.08
Ta 0.6820 0.8213 0.0223  6 O 1.91-2.08
Bi 0.4570 0.0513 0.4941  3 O 2.11-2.14
Bi 0.5430 0.9487 0.9941  3 O 2.11-2.14
Bi 0.0513 0.4570 0.4941  3 O 2.11-2.14
Bi 0.9487 0.5430 0.9941  3 O 2.11-2.14
O 0.5665 0.4330 0.2694  2 Ta 2.00-2.02
O 0.0717 0.3378 0.5187  1 Ta 1.91, 1 Bi 2.11
O 0.2330 0.7810 0.2358  2 Bi 2.13-2.14
O 0.7670 0.2190 0.7358  2 Bi 2.13-2.14
O 0.9283 0.6622 0.0187  1 Ta 1.91, 1 Bi 2.11
O 0.9412 0.0596 0.7702  2 Ta 2.01-2.03
O 0.0588 0.9404 0.2702  2 Ta 2.01-2.03
O 0.2190 0.7670 0.7358  2 Bi 2.13-2.14
O 0.7247 0.7247 0.0189  2 Ta 2.08
O 0.4330 0.5665 0.2694  2 Ta 2.00-2.02
O 0.6622 0.9283 0.0187  1 Ta 1.91, 1 Bi 2.11
O 0.4335 0.5670 0.7694  2 Ta 2.00-2.02
O 0.5670 0.4335 0.7694  2 Ta 2.00-2.02
O 0.7810 0.2330 0.2358  2 Bi 2.13-2.14
O 0.2753 0.2753 0.5189  2 Ta 2.08
O 0.0596 0.9412 0.7702  2 Ta 2.01-2.03
O 0.3378 0.0717 0.5187  1 Ta 1.91, 1 Bi 2.11
O 0.9404 0.0588 0.2702  2 Ta 2.01-2.03

Name the least stable of them. B.

--- A ---
This record from Materials Project describes a relaxed SiC crystal. The functional is GGA-PBE.

Output
The theoretical density comes out at 3.2 Mg/m³. The piezoelectric modulus e_max is 0.07 C/m².

Unit cell a=3.0947 b=3.0947 c=25.3091 alpha=90.00 beta=90.00 gamma=120.00
Last column: nearest neighbours and their distance in Å.
Fractional coordinates of all 20 atoms:
Si 0.0000 0.0000 0.1999  4 C 1.89-1.90
Si 0.0000 0.0000 0.4000  4 C 1.89-1.90
Si 0.3333 0.6667 0.3000  4 C 1.90
Si 0.0000 0.0000 0.6000  4 C 1.89-1.90
Si 0.3333 0.6667 0.0000  4 C 1.90
Si 0.3333 0.6667 0.7000  4 C 1.90
Si 0.6667 0.3333 0.8999  4 C 1.89-1.90
Si 0.0000 0.0000 0.8000  4 C 1.89-1.90
Si 0.6667 0.3333 0.1000  4 C 1.89-1.90
Si 0.6667 0.3333 0.5000  4 C 1.90
C 0.3333 0.6667 0.7752  4 Si 1.89-1.90
C 0.3333 0.6667 0.0752  4 Si 1.89-1.90
C 0.0000 0.0000 0.6749  4 Si 1.90
C 0.0000 0.0000 0.2749  4 Si 1.90
C 0.6667 0.3333 0.1750  4 Si 1.89-1.90
C 0.6667 0.3333 0.5752  4 Si 1.89-1.90
C 0.0000 0.0000 0.4749  4 Si 1.90
C 0.6667 0.3333 0.9749  4 Si 1.90
C 0.3333 0.6667 0.3752  4 Si 1.89-1.90
C 0.0000 0.0000 0.8750  4 Si 1.89-1.90

--- B ---
This record from Materials Project describes a relaxed SiC crystal. The functional is GGA-PBE.

Output
The theoretical density comes out at 3.2 Mg/m³. For the total moment, the calculation gives 0.00 μB per formula unit.

Unit cell a=20.2824 b=20.2824 c=20.2824 alpha=8.76 beta=8.76 gamma=8.76
Last column: nearest neighbours and their distance in Å.
Fractional coordinates of all 16 atoms:
Si 0.8750 0.8750 0.8750  4 C 1.90
Si 0.3752 0.3752 0.3752  4 C 1.90
Si 0.5834 0.5834 0.5834  4 C 1.90
Si 0.0001 0.0001 0.0001  4 C 1.90
Si 0.5001 0.5001 0.5001  4 C 1.89-1.90
Si 0.2917 0.2917 0.2917  4 C 1.90
Si 0.7502 0.7502 0.7502  4 C 1.90
Si 0.1251 0.1251 0.1251  4 C 1.90
C 0.9687 0.9687 0.9687  4 Si 1.90
C 0.4688 0.4688 0.4688  4 Si 1.90
C 0.0938 0.0938 0.0938  4 Si 1.90
C 0.7188 0.7188 0.7188  4 Si 1.90
C 0.8437 0.8437 0.8437  4 Si 1.89-1.90
C 0.3439 0.3439 0.3439  4 Si 1.90
C 0.2604 0.2604 0.2604  4 Si 1.90
C 0.5521 0.5521 0.5521  4 Si 1.90

Name the least stable of them. B.

--- A ---
This record from Materials Project describes a relaxed Sr3MgTi2O7 crystal. The functional is GGA-PBE.

Output
The theoretical density comes out at 4.1 Mg/m³. For the total moment, the calculation gives 1.65 μB per formula unit.

Unit cell a=5.1234 b=3.8870 c=10.4811 alpha=100.69 beta=104.15 gamma=90.00
Last column: nearest neighbours and their distance in Å.
Fractional coordinates of all 13 atoms:
Sr 0.3224 0.3224 0.6447  3 O 2.41-2.53
Sr 0.5000 0.5000 0.0000  2 Mg 2.56, 4 O 2.73
Sr 0.6776 0.6776 0.3553  3 O 2.41-2.53
Mg 0.0000 0.5000 0.0000  4 O 1.93-1.94
Ti 0.1107 0.1107 0.2215  3 O 1.82-1.96
Ti 0.8893 0.8893 0.7785  3 O 1.82-1.96
O 0.9031 0.4031 0.8061  1 Mg 1.93, 2 Ti 1.96
O 0.7983 0.7983 0.5965  1 Ti 1.82
O 0.0000 0.0000 0.0000  2 Mg 1.94
O 0.5964 0.0964 0.1928  4 Sr 2.53-2.73, 2 Ti 2.58
O 0.0969 0.5969 0.1939  1 Mg 1.93, 2 Ti 1.96
O 0.4036 0.9036 0.8072  4 Sr 2.53-2.73, 2 Ti 2.58
O 0.2017 0.2017 0.4035  1 Ti 1.82

--- B ---
This record from Materials Project describes a relaxed Sr3MgTi2O7 crystal. The functional is GGA-PBE.

Output
The theoretical density comes out at 4.5 Mg/m³. For the total moment, the calculation gives 0.00 μB per formula unit.

Unit cell a=3.9329 b=3.9329 c=12.0407 alpha=99.40 beta=99.40 gamma=90.00
Last column: nearest neighbours and their distance in Å.
Fractional coordinates of all 13 atoms:
Sr 0.3428 0.3428 0.6855  4 O 2.52-2.53
Sr 0.5000 0.5000 0.0000  12 O 2.78-2.89
Sr 0.6572 0.6572 0.3145  4 O 2.52-2.53
Mg 0.7500 0.2500 0.5000  4 O 2.19
Ti 0.0824 0.0824 0.1648  5 O 1.93-1.97
Ti 0.9176 0.9176 0.8352  5 O 1.93-1.97
O 0.9098 0.4098 0.8197  2 Ti 1.97
O 0.7911 0.7911 0.5822  2 Mg 2.19
O 0.0000 0.0000 0.0000  2 Ti 1.93
O 0.5902 0.0902 0.1803  2 Ti 1.97
O 0.0892 0.5892 0.1784  2 Ti 1.97
O 0.4108 0.9108 0.8216  2 Ti 1.97
O 0.2089 0.2089 0.4178  2 Mg 2.19

Name the least stable of them. A.

--- A ---
This record from Materials Project describes a relaxed LiCu3C3O9 crystal. The functional is GGA-PBE.

Output
The theoretical density comes out at 3.4 Mg/m³. For the total moment, the calculation gives 0.00 μB per formula unit.

Unit cell a=6.5184 b=8.1256 c=8.1331 alpha=60.32 beta=90.00 gamma=90.00
Last column: nearest neighbours and their distance in Å.
Fractional coordinates of all 32 atoms:
Li 0.0000 0.0253 0.2974  5 O 2.05-2.10
Li 0.5000 0.2956 0.6794  5 O 2.04-2.15
Cu 0.2545 0.9784 0.6554  2 O 1.91-1.97
Cu 0.7455 0.9784 0.6554  2 O 1.91-1.97
Cu 0.7557 0.6533 0.3573  4 O 1.95-2.19
Cu 0.2443 0.6533 0.3573  4 O 1.95-2.19
Cu 0.2531 0.3744 0.9907  4 O 1.97-2.16
Cu 0.7469 0.3744 0.9907  4 O 1.97-2.16
C 0.0000 0.6705 0.6603  3 O 1.28-1.33
C 0.5000 0.6578 0.6666  3 O 1.29-1.32
C 0.2503 0.0068 0.9989  3 O 1.28-1.30
C 0.7497 0.0068 0.9989  3 O 1.28-1.30
C 0.2503 0.3289 0.3369  3 O 1.28-1.30
C 0.7497 0.3289 0.3369  3 O 1.28-1.30
O 0.7794 0.9250 0.1800  1 C 1.30
O 0.2206 0.9250 0.1800  1 C 1.30
O 0.0000 0.8571 0.5865  1 C 1.33
O 0.5000 0.8389 0.5971  1 C 1.29
O 0.0000 0.6035 0.5445  1 C 1.30
O 0.5000 0.5833 0.5553  1 C 1.32
O 0.7426 0.9067 0.9171  1 C 1.28
O 0.2574 0.9067 0.9171  1 C 1.28
O 0.0000 0.5611 0.8405  1 C 1.28
O 0.5000 0.5443 0.8492  1 C 1.30
O 0.2736 0.1894 0.9012  1 C 1.30
O 0.7264 0.1894 0.9012  1 C 1.30
O 0.2563 0.5080 0.2250  1 C 1.28
O 0.7437 0.5080 0.2250  1 C 1.28
O 0.2241 0.2173 0.2668  1 C 1.30
O 0.7759 0.2173 0.2668  1 C 1.30
O 0.2712 0.2567 0.5184  1 C 1.30
O 0.7288 0.2567 0.5184  1 C 1.30

--- B ---
This record from Materials Project describes a relaxed LiCu3C3O9 crystal. The functional is GGA-PBE.

Output
The theoretical density comes out at 3.5 Mg/m³. For the total moment, the calculation gives 2.00 μB per formula unit.

Unit cell a=14.0120 b=14.0360 c=3.2004 alpha=93.90 beta=91.11 gamma=59.19
Last column: nearest neighbours and their distance in Å.
Fractional coordinates of all 48 atoms:
Li 0.1782 0.2513 0.0024  4 O 1.96-1.98
Li 0.5199 0.5838 0.0115  4 O 1.97-2.02
Li 0.8736 0.8990 0.9746  4 O 1.96-1.99
Cu 0.1209 0.7698 0.5106  3 O 1.89-2.07
Cu 0.4491 0.8129 0.5011  3 O 1.94-2.13
Cu 0.1090 0.4618 0.4472  4 O 1.98-2.17
Cu 0.4411 0.4295 0.5769  4 O 2.04-2.09
Cu 0.1106 0.0897 0.4898  4 O 1.94-2.15
Cu 0.7945 0.7393 0.5137  3 O 1.94-2.02
Cu 0.7584 0.4419 0.5289  3 O 1.91-1.99
Cu 0.4449 0.1131 0.4332  3 O 1.98-2.01
Cu 0.7820 0.1286 0.4901  3 O 1.95-2.10
C 0.0054 0.6618 0.9981  3 O 1.27-1.32
C 0.3351 0.6824 0.5376  3 O 1.28-1.32
C 0.6866 0.9835 0.4647  3 O 1.26-1.33
C 0.3337 0.3299 0.0052  3 O 1.28-1.31
C 0.6624 0.6670 0.0166  3 O 1.29-1.30
C 0.6522 0.3382 0.9922  3 O 1.28-1.33
C 0.3329 0.0145 0.0105  3 O 1.29-1.30
C 0.9900 0.3283 0.5114  3 O 1.28-1.31
C 0.9973 0.9981 0.9780  3 O 1.29-1.30
O 0.0130 0.8983 0.9275  1 C 1.30
O 0.0785 0.6787 0.1704  1 C 1.27
O 0.3443 0.9177 0.9257  1 C 1.29
O 0.0254 0.5591 0.9456  1 C 1.32
O 0.2505 0.7801 0.5106  1 C 1.28
O 0.3230 0.5992 0.5793  1 C 1.28
O 0.6823 0.8948 0.4766  1 C 1.28
O 0.4353 0.6694 0.5250  1 C 1.32
O 0.0872 0.3213 0.5140  1 C 1.31
O 0.7844 0.9778 0.4946  1 C 1.33
O 0.5668 0.7563 0.0818  1 C 1.29
O 0.2285 0.3604 0.0288  1 C 1.31
O 0.3637 0.4033 0.0722  1 C 1.30
O 0.0795 0.0147 0.9379  1 C 1.30
O 0.6663 0.5733 0.9227  1 C 1.30
O 0.7527 0.6708 0.0352  1 C 1.29
O 0.5502 0.4271 0.0321  1 C 1.33
O 0.2365 0.0972 0.1422  1 C 1.30
O 0.4054 0.2274 0.9132  1 C 1.28
O 0.9106 0.7436 0.8831  1 C 1.30
O 0.7368 0.3467 0.1001  1 C 1.29
O 0.4170 0.0287 0.9687  1 C 1.30
O 0.6619 0.2470 0.8393  1 C 1.28
O 0.9026 0.4240 0.4885  1 C 1.28
O 0.6009 0.0772 0.4200  1 C 1.26
O 0.9843 0.2406 0.5334  1 C 1.28
O 0.8986 0.0812 0.0680  1 C 1.29

Name the least stable of them. B.

--- A ---
This record from Materials Project describes a relaxed IrN crystal. The functional is GGA-PBE.

Output
The theoretical density comes out at 14.7 Mg/m³. For the total moment, the calculation gives 0.00 μB per formula unit.

Unit cell a=2.8669 b=2.8669 c=6.5623 alpha=90.00 beta=90.00 gamma=120.00
Last column: nearest neighbours and their distance in Å.
Fractional coordinates of all 4 atoms:
Ir 0.6667 0.3333 0.5277  4 N 2.04-2.10
Ir 0.3333 0.6667 0.0277  4 N 2.04-2.10
N 0.6667 0.3333 0.8473  4 Ir 2.04-2.10
N 0.3333 0.6667 0.3473  4 Ir 2.04-2.10

--- B ---
This record from Materials Project describes a relaxed IrN crystal. The functional is GGA-PBE.

Output
The theoretical density comes out at 13.7 Mg/m³. For the total moment, the calculation gives 0.00 μB per formula unit.

Unit cell a=3.2852 b=3.2852 c=3.2852 alpha=60.00 beta=60.00 gamma=60.00
Last column: nearest neighbours and their distance in Å.
Fractional coordinates of all 2 atoms:
Ir 0.0000 0.0000 0.0000  4 N 2.01
N 0.2500 0.2500 0.2500  4 Ir 2.01

Name the least stable of them. A.